No. 1
Ba4SrFe5O15, relaxed, DFT GGA+U; relative energy among the computed polymorphs = 2 meV/atom; symmetry = Fmm2; magnetic moment = 43.9 μB per cell
1.0
-4.0101 4.0119 -0.0005
-4.0101 -4.0119 -0.0005
-4.0074 0.0000 20.2554
Ba O Fe Sr
8 30 10 2
direct
0.8513 0.3513 0.2973 Ba
0.1500 0.6500 0.7001 Ba
0.2504 0.7504 0.4992 Ba
0.3513 0.8513 0.2973 Ba
0.7504 0.2504 0.4992 Ba
0.5481 0.0481 0.9038 Ba
0.0481 0.5481 0.9038 Ba
0.6500 0.1500 0.7001 Ba
0.5480 0.5480 0.9046 O
0.3545 0.3545 0.2909 O
0.7486 0.7486 0.5027 O
0.8537 0.8537 0.2932 O
0.6521 0.6521 0.1935 O
0.1571 0.6493 0.1936 O
0.9483 0.4525 0.5995 O
0.9502 0.9502 0.1002 O
0.0517 0.5506 0.3974 O
0.3511 0.8472 0.8019 O
0.0519 0.0519 0.3975 O
0.1502 0.1502 0.6992 O
0.6531 0.6531 0.6940 O
0.2475 0.2475 0.0072 O
0.4529 0.4529 0.5995 O
0.2489 0.2489 0.5015 O
0.5506 0.0517 0.3974 O
0.4525 0.9483 0.5995 O
0.8472 0.8472 0.8019 O
0.6493 0.1571 0.1936 O
0.1544 0.1544 0.1935 O
0.8472 0.3511 0.8019 O
0.3509 0.3509 0.8019 O
0.2477 0.7448 0.0075 O
0.9477 0.9477 0.5994 O
0.7448 0.2477 0.0075 O
0.4479 0.4479 0.1035 O
0.7451 0.7451 0.0075 O
0.5505 0.5505 0.3974 O
0.0461 0.0461 0.9071 O
0.4016 0.4016 0.1967 Fe
0.7002 0.7002 0.6002 Fe
0.5972 0.5972 0.8054 Fe
0.9013 0.9013 0.1972 Fe
0.2004 0.2004 0.5995 Fe
0.8011 0.8011 0.3976 Fe
0.4990 0.4990 0.0022 Fe
0.0999 0.0999 0.8005 Fe
0.9984 0.9984 0.0033 Fe
0.2996 0.2996 0.4008 Fe
0.4500 0.9501 0.0999 Sr
0.9501 0.4500 0.0999 Sr

---

No. 2
Ba4SrFe5O15, relaxed, DFT GGA+U; relative energy among the computed polymorphs = 0 meV/atom; symmetry = P4/mmm; magnetic moment = 22.1 μB per cell
1.0
-2.9442 1.5359 -2.2519
-2.6420 -2.4233 1.8015
-3.3570 14.0424 13.9666
Fe O Ba Sr
5 15 4 1
direct
0.0000 0.0000 0.7007 Fe
0.0000 0.0000 0.2993 Fe
0.0000 0.0000 0.9028 Fe
0.0000 0.0000 0.0972 Fe
0.0000 0.0000 0.5000 Fe
0.0000 0.5000 0.2987 O
0.5000 0.0000 0.2987 O
0.0000 0.0000 0.5998 O
0.0000 0.5000 0.7013 O
0.0000 0.5000 0.0943 O
0.0000 0.0000 0.0000 O
0.0000 0.0000 0.8042 O
0.0000 0.5000 0.5000 O
0.5000 0.0000 0.9057 O
0.5000 0.0000 0.7013 O
0.0000 0.0000 0.4002 O
0.5000 0.0000 0.5000 O
0.5000 0.0000 0.0943 O
0.0000 0.0000 0.1958 O
0.0000 0.5000 0.9057 O
0.5000 0.5000 0.6001 Ba
0.5000 0.5000 0.1977 Ba
0.5000 0.5000 0.3999 Ba
0.5000 0.5000 0.8023 Ba
0.5000 0.5000 0.0000 Sr

---

No. 3
BaSrFe4O8, relaxed, DFT GGA+U; relative energy among the computed polymorphs = 4 meV/atom; symmetry = P-31m; magnetic moment = 20.0 μB per cell
1.0
0.2492 2.2520 -5.0818
-4.1859 -3.4173 1.3264
-4.4009 6.4092 2.6245
Fe O Ba Sr
4 8 1 1
direct
0.3333 0.6667 0.7706 Fe
0.3333 0.6667 0.2294 Fe
0.6667 0.3333 0.2294 Fe
0.6667 0.3333 0.7706 Fe
0.6667 0.3333 0.0000 O
0.3378 0.0000 0.2923 O
0.3378 0.3378 0.7077 O
0.6622 0.6622 0.2923 O
0.0000 0.6622 0.7077 O
0.0000 0.3378 0.2923 O
0.6622 0.0000 0.7077 O
0.3333 0.6667 0.0000 O
0.0000 0.0000 0.0000 Ba
0.0000 0.0000 0.5000 Sr

---

No. 4
BaSrFe4O8, relaxed, DFT GGA+U; relative energy among the computed polymorphs = 473 meV/atom; symmetry = P-6m2; magnetic moment = 20.0 μB per cell
1.0
-3.9523 3.2630 3.1108
-0.9271 -5.8692 -0.7989
5.0465 -1.9480 8.4551
O Fe Ba Sr
8 4 1 1
direct
0.5002 0.4998 0.7506 O
0.5002 0.0003 0.2494 O
0.3333 0.6667 0.0000 O
0.9997 0.4998 0.7506 O
0.5002 0.4998 0.2494 O
0.6667 0.3333 0.5000 O
0.9997 0.4998 0.2494 O
0.5002 0.0003 0.7506 O
0.6667 0.3333 0.6880 Fe
0.3333 0.6667 0.1879 Fe
0.6667 0.3333 0.3120 Fe
0.3333 0.6667 0.8121 Fe
0.0000 0.0000 0.0000 Ba
0.0000 0.0000 0.5000 Sr

---

No. 5
BaSr4Fe5O10, relaxed, DFT GGA+U; relative energy among the computed polymorphs = 0 meV/atom; magnetic moment = 0.0 μB per cell
1.0
4.0727 4.0931 3.5734
-4.0735 8.1428 -10.6704
-4.0730 4.0935 3.5734
O Sr Fe Ba
20 8 10 2
direct
0.3481 0.7923 0.0557 O
0.6521 0.2078 0.9444 O
0.9496 0.5991 0.8505 O
0.8998 0.6964 0.2034 O
0.8040 0.8901 0.9139 O
0.8481 0.7923 0.5556 O
0.0000 0.4999 0.5002 O
0.5503 0.4008 0.6495 O
0.1959 0.1100 0.0860 O
0.0503 0.4008 0.1496 O
0.6003 0.3037 0.2966 O
0.7499 0.0000 0.2500 O
0.1521 0.2078 0.4444 O
0.3998 0.6964 0.7034 O
0.6959 0.1100 0.5859 O
0.4495 0.5991 0.3505 O
0.3040 0.8901 0.4138 O
0.1002 0.3036 0.7966 O
0.5000 0.4999 0.0001 O
0.2499 0.0000 0.7500 O
0.3997 0.2041 0.6956 Sr
0.1985 0.5979 0.1006 Sr
0.6985 0.5979 0.6006 Sr
0.1004 0.7957 0.8047 Sr
0.6004 0.7956 0.3048 Sr
0.8997 0.2042 0.1956 Sr
0.8013 0.4023 0.8991 Sr
0.3014 0.4023 0.3990 Sr
0.6987 0.5990 0.0997 Fe
0.1005 0.7930 0.3074 Fe
0.8005 0.4009 0.3997 Fe
0.9003 0.2070 0.6934 Fe
0.0001 0.0001 0.9999 Fe
0.4003 0.2070 0.1934 Fe
0.6005 0.7930 0.8074 Fe
0.5000 0.0001 0.4998 Fe
0.3005 0.4009 0.8994 Fe
0.1988 0.5990 0.5999 Fe
0.0000 0.0000 0.5000 Ba
0.5000 0.0000 0.9999 Ba

---

No. 6
BaSrFe2O6, relaxed, DFT GGA+U; symmetry = P4/mmm; magnetic moment = 0.0 μB per cell
1.0
3.9866 -0.0005 0.0000
-0.0005 3.9862 0.0000
0.0000 0.0000 15.8489
Fe Sr O Ba
4 2 12 2
direct
0.0000 0.0000 0.5016 Fe
0.0000 0.0000 0.2483 Fe
0.0000 0.0000 0.7484 Fe
0.0000 0.0000 0.0017 Fe
0.5000 0.5000 0.6252 Sr
0.5000 0.5000 0.1248 Sr
0.0000 0.0000 0.3750 O
0.0000 0.0000 0.1251 O
0.0000 0.5000 0.2446 O
0.0000 0.5000 0.0055 O
0.0000 0.5000 0.5054 O
0.0000 0.0000 0.8750 O
0.5000 0.0000 0.7445 O
0.5000 0.0000 0.5055 O
0.0000 0.5000 0.7445 O
0.5000 0.0000 0.0054 O
0.0000 0.0000 0.6249 O
0.5000 0.0000 0.2446 O
0.5000 0.5000 0.8752 Ba
0.5000 0.5000 0.3748 Ba

---

No. 7
BaSrFe4O8, relaxed, DFT GGA+U; relative energy among the computed polymorphs = 0 meV/atom; symmetry = Cmc2_1; magnetic moment = 0.0 μB per cell
1.0
4.1518 -9.6055 0.0000
4.1518 9.6055 0.0000
0.0000 0.0000 5.4835
Fe Sr Ba O
8 2 2 16
direct
0.3139 0.2262 0.2647 Fe
0.5046 0.9249 0.7519 Fe
0.6861 0.7738 0.7647 Fe
0.0751 0.4954 0.7519 Fe
0.9249 0.5046 0.2519 Fe
0.7738 0.6861 0.2647 Fe
0.2262 0.3139 0.7647 Fe
0.4954 0.0751 0.2519 Fe
0.1285 0.8715 0.7497 Sr
0.8715 0.1285 0.2497 Sr
0.6174 0.3826 0.7802 Ba
0.3826 0.6174 0.2802 Ba
0.9284 0.6741 0.1085 O
0.0755 0.4842 0.0989 O
0.7559 0.8336 0.0973 O
0.0716 0.3259 0.6085 O
0.9245 0.5158 0.5989 O
0.2441 0.1664 0.5973 O
0.1664 0.2441 0.0973 O
0.5463 0.4537 0.2618 O
0.6741 0.9284 0.6085 O
0.3259 0.0716 0.1085 O
0.4842 0.0755 0.5989 O
0.7164 0.2836 0.1506 O
0.5158 0.9245 0.0989 O
0.2836 0.7164 0.6506 O
0.4537 0.5463 0.7618 O
0.8336 0.7559 0.5973 O

---

No. 8
Ba3Ta6Fe2O21, relaxed, DFT GGA+U; symmetry = C2/c; magnetic moment = 20.0 μB per cell
1.0
4.5998 8.0193 0.0000
-4.5998 8.0193 0.0000
0.0000 0.0598 12.1055
O Ta Fe Ba
42 12 4 6
direct
0.1713 0.3168 0.6001 O
0.3152 0.5189 0.9023 O
0.4819 0.8321 0.4038 O
0.6832 0.8287 0.8999 O
0.1983 0.9998 0.9234 O
0.7960 0.0027 0.4253 O
0.5133 0.1716 0.9005 O
0.2043 0.7924 0.0736 O
0.1716 0.5133 0.4005 O
0.8284 0.4867 0.5995 O
0.0011 0.7867 0.2492 O
0.0027 0.7960 0.9253 O
0.9973 0.2040 0.0747 O
0.6848 0.4811 0.0977 O
0.2065 0.7935 0.7500 O
0.4812 0.6850 0.9010 O
0.7935 0.2065 0.2500 O
0.3159 0.1675 0.4014 O
0.8287 0.6832 0.3999 O
0.8321 0.4819 0.9038 O
0.5181 0.1679 0.5962 O
0.2133 0.9989 0.2508 O
0.8017 0.0002 0.0766 O
0.0002 0.8017 0.5766 O
0.9998 0.1983 0.4234 O
0.4867 0.8284 0.0995 O
0.5189 0.3152 0.4023 O
0.7867 0.0011 0.7492 O
0.2076 0.7957 0.4264 O
0.7957 0.2076 0.9264 O
0.2040 0.9973 0.5747 O
0.8325 0.6841 0.0986 O
0.9989 0.2133 0.7508 O
0.6841 0.8325 0.5986 O
0.3168 0.1713 0.1001 O
0.5188 0.3150 0.0990 O
0.1679 0.5181 0.0962 O
0.7924 0.2043 0.5736 O
0.6850 0.4812 0.4010 O
0.4811 0.6848 0.5977 O
0.1675 0.3159 0.9014 O
0.3150 0.5188 0.5990 O
0.6599 0.6795 0.9992 Ta
0.2457 0.7576 0.5918 Ta
0.0007 0.2444 0.9030 Ta
0.9993 0.7556 0.0970 Ta
0.3205 0.3401 0.5008 Ta
0.6795 0.6599 0.4992 Ta
0.7556 0.9993 0.5970 Ta
0.7543 0.2424 0.4082 Ta
0.2444 0.0007 0.4030 Ta
0.2424 0.7543 0.9082 Ta
0.7576 0.2457 0.0918 Ta
0.3401 0.3205 0.0008 Ta
0.9983 0.7548 0.4082 Fe
0.2452 0.0017 0.0918 Fe
0.0017 0.2452 0.5918 Fe
0.7548 0.9983 0.9082 Fe
0.5927 0.9934 0.2496 Ba
0.4005 0.5995 0.2500 Ba
0.4073 0.0066 0.7504 Ba
0.0066 0.4073 0.2504 Ba
0.9934 0.5927 0.7496 Ba
0.5995 0.4005 0.7500 Ba

---

Corrected total energy (MP2020 scheme) in eV/atom, matching the order above: -7.192; -7.194; -7.601; -7.132; -7.282; -7.205; -7.605; -9.357